{
  "formula": "TiZnO6F6",
  "functional": "PBE",
  "state": "relaxed",
  "lattice": [[4.3296, -2.5943, 3.2071], [3.7450, 5.9994, -2.8636], [-2.3730, 4.9038, 7.1704]],
  "species": ["Ti", "Ti", "Zn", "Zn", "O", "O", "O", "O", "O", "O", "O", "O", "O", "O", "O", "O", "F", "F", "F", "F", "F", "F", "F", "F", "F", "F", "F", "F"],
  "frac_coords": [[0.5000, 0.0000, 0.5000], [0.5000, 0.5000, 0.0000], [0.0000, 0.5000, 0.5000], [0.0000, 0.0000, 0.0000], [0.1760, 0.5909, 0.3202], [0.1760, 0.0909, 0.1798], [0.8240, 0.4091, 0.6798], [0.8240, 0.9091, 0.8202], [0.9133, 0.7352, 0.5388], [0.9133, 0.2352, 0.9612], [0.0867, 0.2648, 0.4612], [0.0867, 0.7648, 0.0388], [0.2595, 0.5294, 0.6407], [0.2595, 0.0294, 0.8593], [0.7405, 0.4706, 0.3593], [0.7405, 0.9706, 0.1407], [0.5503, 0.7697, 0.5501], [0.5503, 0.2697, 0.9499], [0.4497, 0.2303, 0.4499], [0.4497, 0.7303, 0.0501], [0.3244, 0.8973, 0.3366], [0.3244, 0.3973, 0.1634], [0.6756, 0.1027, 0.6634], [0.6756, 0.6027, 0.8366], [0.2316, 0.9593, 0.6171], [0.2316, 0.4593, 0.8829], [0.7684, 0.0407, 0.3829], [0.7684, 0.5407, 0.1171]],
  "delta_e_f_ev_per_atom": -0.970,
  "corrected_energy_ev_per_atom": -4.56
}



{
  "formula": "Pa3P4",
  "functional": "PBE",
  "state": "relaxed",
  "lattice": [[-4.1438, 4.1438, 4.1438], [4.1438, -4.1438, 4.1438], [4.1438, 4.1438, -4.1438]],
  "species": ["Pa", "Pa", "Pa", "Pa", "Pa", "Pa", "P", "P", "P", "P", "P", "P", "P", "P"],
  "frac_coords": [[0.7500, 0.8750, 0.1250], [0.3750, 0.2500, 0.6250], [0.2500, 0.6250, 0.3750], [0.8750, 0.1250, 0.7500], [0.6250, 0.3750, 0.2500], [0.1250, 0.7500, 0.8750], [0.6603, 0.6603, 0.6603], [0.8397, 0.5000, 0.0000], [0.5000, 0.0000, 0.8397], [0.3397, 0.5000, 0.0000], [0.0000, 0.8397, 0.5000], [0.0000, 0.3397, 0.5000], [0.5000, 0.0000, 0.3397], [0.1603, 0.1603, 0.1603]],
  "delta_e_f_ev_per_atom": -1.233
}



{
  "formula": "BaH2O2",
  "functional": "PBE",
  "state": "relaxed",
  "lattice": [[11.1202, 0.0000, 0.0000], [0.0000, 7.2207, 0.0000], [0.0000, 6.9272, 16.7473]],
  "species": ["Ba", "Ba", "Ba", "Ba", "Ba", "Ba", "Ba", "Ba", "Ba", "Ba", "Ba", "Ba", "Ba", "Ba", "Ba", "Ba", "Ba", "Ba", "Ba", "Ba", "H", "H", "H", "H", "H", "H", "H", "H", "H", "H", "H", "H", "H", "H", "H", "H", "H", "H", "H", "H", "H", "H", "H", "H", "H", "H", "H", "H", "H", "H", "H", "H", "H", "H", "H", "H", "H", "H", "H", "H", "O", "O", "O", "O", "O", "O", "O", "O", "O", "O", "O", "O", "O", "O", "O", "O", "O", "O", "O", "O", "O", "O", "O", "O", "O", "O", "O", "O", "O", "O", "O", "O", "O", "O", "O", "O", "O", "O", "O", "O"],
  "frac_coords": [[0.8225, 0.1870, 0.7470], [0.6775, 0.1870, 0.2470], [0.1775, 0.8130, 0.2530], [0.3225, 0.8130, 0.7530], [0.9764, 0.5353, 0.8761], [0.5236, 0.5353, 0.3761], [0.0236, 0.4647, 0.1239], [0.4764, 0.4647, 0.6239], [0.5205, 0.7944, 0.1249], [0.9795, 0.7944, 0.6249], [0.4795, 0.2056, 0.8751], [0.0205, 0.2056, 0.3751], [0.8301, 0.9415, 0.9885], [0.6699, 0.9415, 0.4885], [0.1699, 0.0585, 0.0115], [0.3301, 0.0585, 0.5115], [0.6693, 0.4233, 0.0084], [0.8307, 0.4233, 0.5084], [0.3307, 0.5767, 0.9916], [0.1693, 0.5767, 0.4916], [0.5610, 0.0304, 0.7273], [0.9390, 0.0304, 0.2273], [0.4390, 0.9696, 0.2727], [0.0610, 0.9696, 0.7727], [0.7877, 0.6831, 0.7540], [0.7123, 0.6831, 0.2540], [0.2123, 0.3169, 0.2460], [0.2877, 0.3169, 0.7460], [0.0795, 0.2109, 0.8310], [0.4205, 0.2109, 0.3310], [0.9205, 0.7891, 0.1690], [0.5795, 0.7891, 0.6690], [0.4310, 0.3476, 0.1658], [0.0690, 0.3476, 0.6658], [0.5690, 0.6524, 0.8342], [0.9310, 0.6524, 0.3342], [0.7069, 0.8212, 0.8596], [0.7931, 0.8212, 0.3596], [0.2931, 0.1788, 0.1404], [0.2069, 0.1788, 0.6404], [0.7906, 0.0156, 0.1379], [0.7094, 0.0156, 0.6379], [0.2094, 0.9844, 0.8621], [0.2906, 0.9844, 0.3621], [0.7404, 0.3909, 0.8450], [0.7596, 0.3909, 0.3450], [0.2596, 0.6091, 0.1550], [0.2404, 0.6091, 0.6550], [0.7573, 0.5852, 0.1526], [0.7427, 0.5852, 0.6526], [0.2427, 0.4148, 0.8474], [0.2573, 0.4148, 0.3474], [0.5474, 0.7911, 0.9261], [0.9526, 0.7911, 0.4261], [0.4526, 0.2089, 0.0739], [0.0474, 0.2089, 0.5739], [0.9473, 0.1505, 0.0726], [0.5527, 0.1505, 0.5726], [0.0527, 0.8495, 0.9274], [0.4473, 0.8495, 0.4274], [0.5760, 0.1312, 0.7494], [0.9240, 0.1312, 0.2494], [0.4240, 0.8688, 0.2506], [0.0760, 0.8688, 0.7506], [0.8221, 0.5634, 0.7499], [0.6779, 0.5634, 0.2499], [0.1779, 0.4366, 0.2501], [0.3221, 0.4366, 0.7501], [0.0086, 0.1450, 0.8612], [0.4914, 0.1450, 0.3612], [0.9914, 0.8550, 0.1388], [0.5086, 0.8550, 0.6388], [0.5018, 0.3964, 0.1323], [0.9982, 0.3964, 0.6323], [0.4982, 0.6036, 0.8677], [0.0018, 0.6036, 0.3677], [0.7908, 0.7855, 0.8732], [0.7092, 0.7855, 0.3732], [0.2092, 0.2145, 0.1268], [0.2908, 0.2145, 0.6268], [0.7078, 0.0446, 0.1193], [0.7922, 0.0446, 0.6193], [0.2922, 0.9554, 0.8807], [0.2078, 0.9554, 0.3807], [0.7217, 0.2687, 0.8921], [0.7783, 0.2687, 0.3921], [0.2783, 0.7313, 0.1079], [0.2217, 0.7313, 0.6079], [0.7839, 0.5606, 0.1052], [0.7161, 0.5606, 0.6052], [0.2161, 0.4394, 0.8948], [0.2839, 0.4394, 0.3948], [0.5586, 0.8148, 0.9756], [0.9414, 0.8148, 0.4756], [0.4414, 0.1852, 0.0244], [0.0586, 0.1852, 0.5244], [0.9472, 0.2705, 0.0229], [0.5528, 0.2705, 0.5229], [0.0528, 0.7295, 0.9771], [0.4472, 0.7295, 0.4771]],
  "delta_e_f_ev_per_atom": -2.046,
  "corrected_energy_ev_per_atom": -5.77
}



{
  "formula": "LiZr4N4Cl4",
  "functional": "PBE",
  "state": "relaxed",
  "lattice": [[19.3487, -1.8409, 0.0000], [19.3487, 1.8409, 0.0000], [19.1735, 0.0000, 3.1837]],
  "species": ["Li", "Zr", "Zr", "Zr", "Zr", "N", "N", "N", "N", "Cl", "Cl", "Cl", "Cl"],
  "frac_coords": [[0.0000, 0.0000, 0.0000], [0.3971, 0.3971, 0.3971], [0.8934, 0.8934, 0.8934], [0.1066, 0.1066, 0.1066], [0.6029, 0.6029, 0.6029], [0.4330, 0.4330, 0.4330], [0.9323, 0.9323, 0.9323], [0.0677, 0.0677, 0.0677], [0.5670, 0.5670, 0.5670], [0.8045, 0.8045, 0.8045], [0.3087, 0.3087, 0.3087], [0.6913, 0.6913, 0.6913], [0.1955, 0.1955, 0.1955]],
  "delta_e_f_ev_per_atom": -1.861,
  "corrected_energy_ev_per_atom": -7.77
}



{
  "formula": "LaCo5H4",
  "functional": "PBE",
  "state": "relaxed",
  "lattice": [[2.7054, -4.4310, 0.0000], [2.7054, 4.4310, 0.0000], [0.0000, 0.0000, 4.1125]],
  "species": ["La", "Co", "Co", "Co", "Co", "Co", "H", "H", "H", "H"],
  "frac_coords": [[0.0000, 0.0000, 0.9915], [0.5000, 0.5000, 0.5083], [0.5000, 0.0000, 0.5053], [0.0000, 0.5000, 0.5053], [0.6355, 0.3645, 0.0124], [0.3645, 0.6355, 0.0124], [0.5000, 0.0000, 0.9297], [0.0000, 0.5000, 0.9297], [0.8534, 0.1466, 0.4872], [0.1466, 0.8534, 0.4872]],
  "delta_e_f_ev_per_atom": -0.174,
  "corrected_energy_ev_per_atom": -5.58
}



{
  "formula": "MgNbCu3S4",
  "functional": "PBE",
  "state": "relaxed",
  "lattice": [[-0.5271, 0.5282, 5.6362], [-4.7061, -3.1796, -0.2585], [3.0443, -4.7621, 0.6146]],
  "species": ["Mg", "Nb", "Cu", "Cu", "Cu", "S", "S", "S", "S"],
  "frac_coords": [[0.6861, 0.3139, 0.3139], [0.9854, 0.0146, 0.0146], [0.0001, 0.9999, 0.5177], [0.0001, 0.5177, 0.9999], [0.4823, 0.9999, 0.9999], [0.7608, 0.7401, 0.2392], [0.7608, 0.2392, 0.7401], [0.2313, 0.7687, 0.7687], [0.2599, 0.2392, 0.2392]],
  "delta_e_f_ev_per_atom": -0.664,
  "corrected_energy_ev_per_atom": -5.17
}